Run 1
Computed, not measured: LiVP2HO8 after structural relaxation at the PBE with a Hubbard U level of DFT.

```
LiVP2HO8
1.0
7.7599 0.0000 0.0000
-0.0128 7.9920 0.0000
-3.6213 -0.0103 9.0330
Li V P H O
4 4 8 4 32
direct
0.0000 0.0000 0.0000
0.0000 0.0003 0.4979
0.5029 0.7622 0.4933
0.7980 0.5007 0.0456
0.1482 0.6222 0.5250
0.1631 0.6268 0.0250
0.6354 0.1267 0.0195
0.6412 0.1414 0.5234
0.3794 0.9775 0.2051
0.3809 0.9779 0.7028
0.4176 0.4760 0.8383
0.4176 0.4810 0.3396
0.8853 0.7833 0.2043
0.8876 0.7863 0.7052
0.9113 0.2855 0.3387
0.9108 0.2845 0.8400
0.1385 0.1398 0.2841
0.1381 0.1399 0.7842
0.6575 0.6380 0.2635
0.6590 0.6365 0.7633
0.0043 0.8040 0.3712
0.0046 0.8052 0.8722
0.0056 0.6860 0.6337
0.0875 0.1771 0.3673
0.0894 0.1801 0.8676
0.2009 0.0691 0.6781
0.2013 0.0734 0.1781
0.2855 0.4619 0.1755
0.2872 0.4599 0.6745
0.3010 0.5731 0.9161
0.3039 0.5785 0.4200
0.3337 0.8027 0.1334
0.3413 0.8059 0.6235
0.4648 0.3023 0.9111
0.4654 0.3051 0.4070
0.5011 0.0725 0.1313
0.5012 0.0768 0.6285
0.5045 0.9610 0.3714
0.5088 0.9616 0.8678
0.5883 0.5882 0.3645
0.5971 0.5706 0.8628
0.7034 0.6917 0.6781
0.7089 0.6769 0.1772
0.7883 0.3032 0.6754
0.7906 0.3040 0.1723
0.8027 0.1833 0.4172
0.8038 0.1801 0.9195
0.8356 0.9536 0.1258
0.8364 0.9538 0.6219
0.9616 0.4550 0.9183
0.9664 0.4580 0.4096
0.9967 0.6808 0.1279
```

Values from the calculation:
Total magnetization in μB per cell: 4.0
Volume in Å³/atom: 10.77

=====

Run 2
Computed, not measured: LiVP2HO8 after structural relaxation at the PBE with a Hubbard U level of DFT.

```
LiVP2HO8
1.0
7.4711 0.0000 0.0000
0.0000 7.9448 0.0000
-2.5155 0.0000 9.4085
Li V P H O
4 4 8 4 32
direct
0.1029 0.0000 0.0744
0.3942 0.2612 0.6679
0.6058 0.7612 0.3321
0.8971 0.5000 0.9256
0.2482 0.6375 0.6239
0.2582 0.6233 0.1260
0.7418 0.1233 0.8740
0.7518 0.1375 0.3761
0.0105 0.2865 0.6878
0.0139 0.2833 0.1916
0.4798 0.9784 0.5557
0.4832 0.9837 0.0646
0.5168 0.4837 0.9354
0.5202 0.4784 0.4443
0.9861 0.7833 0.8084
0.9895 0.7865 0.3122
0.2352 0.1384 0.8569
0.2432 0.1387 0.3644
0.7568 0.6387 0.6356
0.7648 0.6384 0.1431
0.0648 0.4558 0.1377
0.0660 0.4587 0.6425
0.0941 0.6815 0.9423
0.1011 0.6836 0.4414
0.1076 0.8008 0.2032
0.1089 0.8056 0.7054
0.1913 0.1787 0.2520
0.1951 0.1897 0.7528
0.3013 0.0704 0.9944
0.3098 0.0872 0.4968
0.3894 0.4675 0.0389
0.3923 0.4583 0.5464
0.4005 0.5826 0.8041
0.4040 0.5801 0.3100
0.4320 0.8041 0.6030
0.4431 0.8068 0.1190
0.5569 0.3068 0.8810
0.5680 0.3041 0.3970
0.5960 0.0801 0.6900
0.5995 0.0826 0.1959
0.6077 0.9583 0.4536
0.6106 0.9675 0.9611
0.6902 0.5872 0.5032
0.6987 0.5704 0.0056
0.8049 0.6897 0.2472
0.8087 0.6787 0.7480
0.8911 0.3056 0.2946
0.8924 0.3008 0.7968
0.8989 0.1836 0.5586
0.9059 0.1815 0.0577
0.9340 0.9587 0.3575
0.9352 0.9558 0.8623
```

Values from the calculation:
Total magnetization in μB per cell: 0.0
Volume in Å³/atom: 10.74

=====

What should be chosen as the least stable of them? Choose run 2.

=====

Run 1
Computed, not measured: LiVP2HO8 after structural relaxation at the PBE with a Hubbard U level of DFT.

```
LiVP2HO8
1.0
4.8668 0.0000 0.0000
1.9580 7.2385 0.0000
0.0053 0.0058 8.0195
Li V P H O
2 2 4 2 16
direct
0.0000 0.0000 0.0000
0.4951 0.5037 0.2420
0.0805 0.8648 0.3781
0.5821 0.3637 0.8653
0.2186 0.0993 0.7158
0.4618 0.1265 0.2170
0.7166 0.5994 0.5271
0.9622 0.6257 0.0254
0.0559 0.3754 0.3791
0.5596 0.8744 0.8622
0.0752 0.6709 0.1967
0.1415 0.0409 0.5435
0.2325 0.5045 0.9309
0.2562 0.9998 0.1987
0.3323 0.3047 0.3094
0.3441 0.9258 0.8260
0.4128 0.2302 0.7000
0.4433 0.6988 0.4263
0.5785 0.1681 0.0454
0.6399 0.5409 0.6996
0.7306 0.0074 0.3143
0.7556 0.4999 0.0446
0.8363 0.8023 0.9296
0.8415 0.4258 0.4171
0.9106 0.7304 0.5425
0.9454 0.1986 0.8167
```

Values from the calculation:
Total magnetization in μB per cell: 2.0
Volume in Å³/atom: 10.87

=====

Run 2
Computed, not measured: LiVP2HO8 after structural relaxation at the PBE with a Hubbard U level of DFT.

```
LiVP2HO8
1.0
7.4807 0.0000 0.0000
-1.2957 9.2561 0.0000
-1.2916 -4.5453 8.0825
Li V P H O
4 4 8 4 32
direct
0.0000 0.0000 0.0000
0.0037 0.4992 0.4986
0.2099 0.4122 0.9098
0.5000 0.1315 0.3708
0.3595 0.2735 0.1393
0.3600 0.7745 0.6398
0.8540 0.2669 0.6416
0.8545 0.7672 0.1419
0.0860 0.5293 0.2457
0.0888 0.0265 0.7446
0.1223 0.1584 0.3765
0.1240 0.6629 0.8782
0.5909 0.8737 0.3990
0.5924 0.3787 0.9014
0.6179 0.5083 0.5303
0.6197 0.0046 0.0301
0.3640 0.7785 0.1551
0.3647 0.2792 0.6541
0.8493 0.2609 0.1333
0.8509 0.7618 0.6338
0.0031 0.9771 0.2940
0.0036 0.4770 0.7934
0.0365 0.6604 0.2032
0.0424 0.1689 0.7152
0.1656 0.1858 0.2322
0.1666 0.6895 0.7348
0.1991 0.1128 0.9320
0.1996 0.6127 0.4298
0.2132 0.4365 0.1317
0.2181 0.9387 0.6369
0.2936 0.6676 0.9913
0.3040 0.1818 0.4893
0.4072 0.3594 0.7881
0.4168 0.8707 0.2850
0.4955 0.6035 0.6400
0.4999 0.1041 0.1464
0.5003 0.9232 0.8497
0.5014 0.4224 0.3464
0.5378 0.3378 0.0326
0.5376 0.8342 0.5299
0.6658 0.3648 0.5567
0.6718 0.8717 0.0679
0.7011 0.0609 0.4833
0.7038 0.5610 0.9845
0.7146 0.2671 0.8044
0.7165 0.7647 0.3066
0.7995 0.1191 0.0443
0.8025 0.6182 0.5476
0.9132 0.9119 0.7328
0.9154 0.4107 0.2363
0.9994 0.2744 0.4726
0.9992 0.7771 0.9710
```

Values from the calculation:
Total magnetization in μB per cell: 4.0
Volume in Å³/atom: 10.76

=====

What should be chosen as the least stable of them? Choose run 2.

=====

Run 1
Computed, not measured: LiVP4H4O14 after structural relaxation at the PBE with a Hubbard U level of DFT.

```
LiVP4H4O14
1.0
5.2310 0.0000 0.0000
2.5245 6.7304 0.0000
1.2408 0.7768 7.9428
Li V P H O
1 1 4 4 14
direct
0.0000 0.0000 0.0000
0.0000 0.5000 0.0000
0.3194 0.2201 0.3095
0.3770 0.6258 0.2275
0.6230 0.3742 0.7725
0.6806 0.7799 0.6905
0.1040 0.7969 0.4326
0.3081 0.0210 0.6276
0.6919 0.9790 0.3724
0.8960 0.2031 0.5674
0.1669 0.2542 0.1553
0.1823 0.6859 0.0898
0.1827 0.1568 0.4756
0.2861 0.7819 0.3580
0.3241 0.4054 0.8318
0.3507 0.4279 0.3375
0.3809 0.9276 0.7318
0.6191 0.0724 0.2682
0.6493 0.5721 0.6625
0.6759 0.5946 0.1682
0.7139 0.2181 0.6420
0.8173 0.8432 0.5244
0.8177 0.3141 0.9102
0.8331 0.7458 0.8447
```

Values from the calculation:
Total magnetization in μB per cell: 2.0
Volume in Å³/atom: 11.65

=====

Run 2
Computed, not measured: LiVP4H4O14 after structural relaxation at the PBE with a Hubbard U level of DFT.

```
LiVP4H4O14
1.0
5.1691 0.0000 0.0000
-1.1910 7.3476 0.0000
-0.4178 -0.4885 13.5312
Li V P H O
2 2 8 8 28
direct
0.2485 0.0010 0.2498
0.7515 0.9990 0.7502
0.0000 0.0000 0.0000
0.5000 0.0000 0.5000
0.0705 0.2705 0.4099
0.1943 0.7628 0.8026
0.3059 0.2371 0.6972
0.4296 0.7297 0.0903
0.5704 0.2703 0.9097
0.6941 0.7629 0.3028
0.8057 0.2372 0.1974
0.9295 0.7295 0.5901
0.0358 0.4754 0.1297
0.2019 0.6366 0.4874
0.2981 0.3633 0.0126
0.4642 0.5246 0.3704
0.5358 0.4754 0.6296
0.7019 0.6367 0.9874
0.7981 0.3634 0.5126
0.9642 0.5246 0.8703
0.0088 0.7697 0.7030
0.0261 0.1848 0.7195
0.0686 0.8902 0.8711
0.1391 0.5639 0.8389
0.1937 0.7558 0.5288
0.2088 0.4641 0.4268
0.2262 0.1210 0.4345
0.2740 0.8792 0.0655
0.2914 0.5361 0.0733
0.3061 0.2441 0.9711
0.3610 0.4361 0.6611
0.4321 0.1103 0.6285
0.4740 0.8146 0.7802
0.4912 0.2301 0.7969
0.5088 0.7699 0.2031
0.5260 0.1854 0.2198
0.5679 0.8897 0.3715
0.6390 0.5639 0.3389
0.6939 0.7559 0.0289
0.7086 0.4639 0.9267
0.7260 0.1208 0.9345
0.7738 0.8790 0.5655
0.7912 0.5359 0.5732
0.8063 0.2442 0.4712
0.8609 0.4361 0.1611
0.9314 0.1098 0.1289
0.9739 0.8152 0.2805
0.9912 0.2303 0.2970
```

Values from the calculation:
Total magnetization in μB per cell: 4.4
Volume in Å³/atom: 10.71

=====

What should be chosen as the least stable of them? Choose run 2.

=====

Run 1
Computed, not measured: Li2VPHO5 after structural relaxation at the PBE with a Hubbard U level of DFT.

```
Li2VPHO5
1.0
5.3954 0.0000 0.0000
-0.4024 5.5835 0.0000
-2.4960 -2.6247 6.8260
Li V P H O
4 2 2 2 10
direct
0.0341 0.3696 0.1676
0.2937 0.9258 0.8009
0.7063 0.0742 0.1991
0.9659 0.6304 0.8324
0.5000 0.5000 0.0000
0.5000 0.5000 0.5000
0.1689 0.8748 0.2288
0.8311 0.1252 0.7712
0.1605 0.4231 0.6413
0.8395 0.5769 0.3587
0.1206 0.2469 0.9272
0.1671 0.1619 0.3312
0.2303 0.7216 0.3675
0.3163 0.5614 0.7242
0.3615 0.8512 0.1135
0.6385 0.1488 0.8865
0.6837 0.4386 0.2758
0.7697 0.2784 0.6325
0.8329 0.8381 0.6688
0.8794 0.7531 0.0728
```

Values from the calculation:
Total magnetization in μB per cell: 6.0
Volume in Å³/atom: 10.28

=====

Run 2
Computed, not measured: Li2VPHO5 after structural relaxation at the PBE with a Hubbard U level of DFT.

```
Li2VPHO5
1.0
5.3862 0.0000 0.0000
-2.2845 7.3373 0.0000
-2.0592 -2.9906 10.2160
Li V P H O
8 4 4 4 20
direct
0.0181 0.0008 0.3457
0.2240 0.9635 0.1479
0.2759 0.5367 0.3518
0.4817 0.4983 0.1540
0.5183 0.5017 0.8460
0.7241 0.4633 0.6482
0.7760 0.0365 0.8521
0.9819 0.9992 0.6543
0.0000 0.5000 0.0000
0.2502 0.7500 0.7497
0.5000 0.0000 0.5000
0.7498 0.2500 0.2503
0.1340 0.3067 0.5655
0.3663 0.1935 0.9348
0.6337 0.8065 0.0652
0.8660 0.6933 0.4345
0.1099 0.2767 0.1379
0.3884 0.2230 0.3618
0.6116 0.7770 0.6382
0.8901 0.7233 0.8621
0.0761 0.3939 0.1704
0.0955 0.3202 0.4216
0.1396 0.7456 0.3997
0.1588 0.0037 0.8370
0.2478 0.3522 0.9225
0.2521 0.1477 0.5774
0.3422 0.4961 0.6632
0.3602 0.7543 0.1002
0.4047 0.1809 0.0789
0.4224 0.1058 0.3294
0.5776 0.8942 0.6706
0.5953 0.8191 0.9211
0.6398 0.2457 0.8998
0.6578 0.5039 0.3368
0.7479 0.8523 0.4226
0.7522 0.6478 0.0775
0.8412 0.9963 0.1630
0.8604 0.2544 0.6003
0.9045 0.6798 0.5784
0.9239 0.6061 0.8296
```

Values from the calculation:
Total magnetization in μB per cell: 6.0
Volume in Å³/atom: 10.09

=====

What should be chosen as the least stable of them? Choose run 1.